1.
Cs3VCl6O4 | GGA+U | optimized geometry

Cell lengths 10.2929, 10.2929, 10.2929 Å; angles 145.94, 133.87, 58.57 degrees
With the nearest neighbours (Å) after each atom.
Element x y z (fractional)
Cs (0.0000, 0.0000, 0.0000)  8 Cl 3.41-3.43
Cs (0.1902, 0.6902, 0.5000)  8 Cl 3.46-3.78
Cs (0.8098, 0.3098, 0.5000)  8 Cl 3.46-3.78
V (0.5000, 0.5000, 0.0000)  4 O 1.83
Cl (0.0952, 0.8462, 0.2490)  2 O 3.03
Cl (0.2022, 0.5000, 0.7022)  1 V 2.40
Cl (0.4027, 0.1538, 0.2490)  2 O 3.03
Cl (0.5973, 0.8462, 0.7510)  2 O 3.03
Cl (0.7978, 0.5000, 0.2978)  1 V 2.40
Cl (0.9048, 0.1538, 0.7510)  2 O 3.03
O (0.4300, 0.2087, 0.7787)  1 V 1.83
O (0.4300, 0.6513, 0.2213)  1 V 1.83
O (0.5700, 0.3487, 0.7787)  1 V 1.83
O (0.5700, 0.7913, 0.2213)  1 V 1.83

Properties
space group = Immm (71)
crystal system = orthorhombic
total energy = -51.341 eV per cell
energy relative to the elements = -21.637 kcal/mol of atoms


2.
Fe8Cu3Te12Cl10O32 | GGA+U | optimized geometry

Cell lengths 10.2155, 21.1665, 5.1173 Å; angles 90.00, 90.00, 90.00 degrees
With the nearest neighbours (Å) after each atom.
Element x y z (fractional)
Fe (0.1711, 0.2285, 0.0000)  6 O 1.99-2.21
Fe (0.1711, 0.7715, 0.0000)  6 O 1.99-2.21
Fe (0.3247, 0.2722, 0.5095)  6 O 1.95-2.15
Fe (0.3247, 0.7278, 0.5095)  6 O 1.95-2.15
Fe (0.6753, 0.2722, 0.5095)  6 O 1.95-2.15
Fe (0.6753, 0.7278, 0.5095)  6 O 1.95-2.15
Fe (0.8289, 0.2285, 0.0000)  6 O 1.99-2.21
Fe (0.8289, 0.7715, 0.0000)  6 O 1.99-2.21
Cu (0.0000, 0.5000, 0.6602)  4 Cl 2.23-2.35
Cu (0.5000, 0.0000, 0.3082)  4 Cl 2.29-2.40, 1 Cu 2.49
Cu (0.5000, 0.0000, 0.8214)  4 Cl 2.32-2.33, 1 Cu 2.49
Te (0.0000, 0.3150, 0.4549)  3 O 1.91-1.97
Te (0.0000, 0.6850, 0.4549)  3 O 1.91-1.97
Te (0.1736, 0.1128, 0.5003)  3 O 1.86-1.97
Te (0.1736, 0.8872, 0.5003)  3 O 1.86-1.97
Te (0.3258, 0.3891, 0.0028)  3 O 1.87-1.97
Te (0.3258, 0.6109, 0.0028)  3 O 1.87-1.97
Te (0.5000, 0.1885, 0.0486)  3 O 1.90-1.97
Te (0.5000, 0.8115, 0.0486)  3 O 1.90-1.97
Te (0.6742, 0.3891, 0.0028)  3 O 1.87-1.97
Te (0.6742, 0.6109, 0.0028)  3 O 1.87-1.97
Te (0.8264, 0.1128, 0.5003)  3 O 1.86-1.97
Te (0.8264, 0.8872, 0.5003)  3 O 1.86-1.97
Cl (0.0000, 0.0000, 0.6684)  4 Te 3.10, 2 O 3.24
Cl (0.0000, 0.4058, 0.9044)  1 Cu 2.35
Cl (0.0000, 0.5942, 0.9044)  1 Cu 2.35
Cl (0.1983, 0.5000, 0.4759)  1 Cu 2.23
Cl (0.3101, 0.0000, 0.0688)  2 Cu 2.29-2.32
Cl (0.5000, 0.0928, 0.5776)  2 Cu 2.33-2.40
Cl (0.5000, 0.5000, 0.8375)  4 Te 3.07, 2 O 3.18
Cl (0.5000, 0.9072, 0.5776)  2 Cu 2.33-2.40
Cl (0.6899, 0.0000, 0.0688)  2 Cu 2.29-2.32
Cl (0.8017, 0.5000, 0.4759)  1 Cu 2.23
O (0.0000, 0.1334, 0.3573)  2 Te 1.97
O (0.0000, 0.2539, 0.1634)  1 Te 1.97, 2 Fe 2.01
O (0.0000, 0.7461, 0.1634)  1 Te 1.97, 2 Fe 2.01
O (0.0000, 0.8666, 0.3573)  2 Te 1.97
O (0.1361, 0.2740, 0.6467)  1 Te 1.91, 2 Fe 2.05-2.08
O (0.1361, 0.7260, 0.6467)  1 Te 1.91, 2 Fe 2.05-2.08
O (0.1508, 0.1438, 0.8364)  1 Te 1.86, 1 Fe 1.99
O (0.1508, 0.8562, 0.8364)  1 Te 1.86, 1 Fe 1.99
O (0.2514, 0.3149, 0.1808)  1 Te 1.97, 1 Fe 2.05
O (0.2514, 0.6851, 0.1808)  1 Te 1.97, 1 Fe 2.05
O (0.2563, 0.1865, 0.3326)  1 Te 1.97, 2 Fe 2.11-2.15
O (0.2563, 0.8135, 0.3326)  1 Te 1.97, 2 Fe 2.11-2.15
O (0.3523, 0.3544, 0.6712)  1 Te 1.87, 1 Fe 1.95
O (0.3523, 0.6456, 0.6712)  1 Te 1.87, 1 Fe 1.95
O (0.3649, 0.2269, 0.8476)  1 Te 1.90, 2 Fe 2.02-2.13
O (0.3649, 0.7731, 0.8476)  1 Te 1.90, 2 Fe 2.02-2.13
O (0.5000, 0.2486, 0.3415)  1 Te 1.97, 2 Fe 2.05
O (0.5000, 0.3696, 0.1449)  2 Te 1.97
O (0.5000, 0.6304, 0.1449)  2 Te 1.97
O (0.5000, 0.7514, 0.3415)  1 Te 1.97, 2 Fe 2.05
O (0.6351, 0.2269, 0.8476)  1 Te 1.90, 2 Fe 2.02-2.13
O (0.6351, 0.7731, 0.8476)  1 Te 1.90, 2 Fe 2.02-2.13
O (0.6477, 0.3544, 0.6712)  1 Te 1.87, 1 Fe 1.95
O (0.6477, 0.6456, 0.6712)  1 Te 1.87, 1 Fe 1.95
O (0.7437, 0.1865, 0.3326)  1 Te 1.97, 2 Fe 2.11-2.15
O (0.7437, 0.8135, 0.3326)  1 Te 1.97, 2 Fe 2.11-2.15
O (0.7486, 0.3149, 0.1808)  1 Te 1.97, 1 Fe 2.05
O (0.7486, 0.6851, 0.1808)  1 Te 1.97, 1 Fe 2.05
O (0.8492, 0.1438, 0.8364)  1 Te 1.86, 1 Fe 1.99
O (0.8492, 0.8562, 0.8364)  1 Te 1.86, 1 Fe 1.99
O (0.8639, 0.2740, 0.6467)  1 Te 1.91, 2 Fe 2.05-2.08
O (0.8639, 0.7260, 0.6467)  1 Te 1.91, 2 Fe 2.05-2.08

Properties
space group = Pmm2 (25)
crystal system = orthorhombic
total energy = -340.931 eV per cell
energy relative to the elements = -30.641 kcal/mol of atoms


3.
Cu6Te2Mo2H2Cl4O15 | GGA+U | optimized geometry

Cell lengths 6.2236, 6.4592, 12.1287 Å; angles 81.30, 85.30, 86.05 degrees
With the nearest neighbours (Å) after each atom.
Element x y z (fractional)
Cu (0.0000, 0.0000, 0.0000)  3 O 1.93-1.99
Cu (0.0073, 0.5140, 0.7995)  3 O 1.93-2.01
Cu (0.3298, 0.3657, 0.9995)  4 O 1.93-1.98
Cu (0.3525, 0.5701, 0.2119)  4 O 1.94-1.98
Cu (0.6695, 0.4321, 0.4112)  3 O 1.89-1.98
Cu (0.6808, 0.9358, 0.2109)  3 O 1.93-2.00
Te (0.1733, 0.0817, 0.2638)  3 O 1.92-1.94
Te (0.5073, 0.8542, 0.9460)  3 O 1.92-1.94
Mo (0.1896, 0.5086, 0.4986)  3 O 1.74-1.95
Mo (0.4921, 0.4203, 0.7136)  4 O 1.74-1.95
H (0.2546, 0.0254, 0.5108)  1 O 0.98
H (0.3349, 0.0744, 0.6221)  1 O 0.98
Cl (0.6841, 0.0028, 0.3856)  1 Cu 2.23
Cl (0.8232, 0.5127, 0.2389)  1 Cu 2.23
Cl (0.8548, 0.4237, 0.9706)  1 Cu 2.22
Cl (0.9983, 0.9326, 0.8259)  1 Cu 2.22
O (0.1518, 0.7784, 0.4585)  1 Mo 1.74
O (0.1791, 0.5017, 0.6608)  1 Cu 1.93, 2 Mo 1.96-2.11
O (0.2397, 0.1281, 0.5631)  2 H 0.98
O (0.2974, 0.0755, 0.9806)  2 Cu 1.93-1.95, 1 Te 1.94
O (0.3127, 0.4859, 0.8443)  2 Cu 1.93-2.01, 1 Mo 1.95
O (0.3246, 0.2954, 0.1631)  1 Te 1.94, 2 Cu 1.96-1.98
O (0.3569, 0.6413, 0.0477)  1 Te 1.94, 2 Cu 1.97-1.98
O (0.3692, 0.4451, 0.3673)  2 Cu 1.94-1.98, 1 Mo 1.95
O (0.3832, 0.8604, 0.2299)  2 Cu 1.93-1.94, 1 Te 1.94
O (0.5107, 0.4662, 0.5522)  2 Mo 1.93-2.14, 1 Cu 1.94
O (0.5375, 0.1501, 0.7457)  1 Mo 1.74
O (0.7058, 0.9232, 0.0461)  1 Te 1.92, 2 Cu 1.95-2.00
O (0.7297, 0.5441, 0.7355)  1 Mo 1.79, 1 Cu 1.94
O (0.9398, 0.4103, 0.4746)  1 Mo 1.78, 1 Cu 1.89
O (0.9748, 0.0139, 0.1636)  1 Te 1.92, 2 Cu 1.95-1.99

Properties
space group = P1 (1)
crystal system = triclinic
total energy = -162.181 eV per cell
energy relative to the elements = -28.207 kcal/mol of atoms


4.
Li4V5CuClO15 | GGA+U | optimized geometry

Cell lengths 8.9633, 8.9633, 5.5015 Å; angles 90.00, 90.00, 90.00 degrees
With the nearest neighbours (Å) after each atom.
Element x y z (fractional)
Li (0.1758, 0.8099, 0.0000)  2 O 1.90-1.94
Li (0.1901, 0.1758, 0.0000)  2 O 1.90-1.94
Li (0.8099, 0.8242, 0.0000)  2 O 1.90-1.94
Li (0.8242, 0.1901, 0.0000)  2 O 1.90-1.94
V (0.1401, 0.3595, 0.4642)  4 O 1.67-1.81
V (0.3595, 0.8599, 0.4642)  4 O 1.67-1.81
V (0.5000, 0.5000, 0.4284)  1 O 1.61
V (0.6405, 0.1401, 0.4642)  4 O 1.67-1.81
V (0.8599, 0.6405, 0.4642)  4 O 1.67-1.81
Cu (0.0000, 0.0000, 0.3666)  4 O 1.97
Cl (0.0000, 0.0000, 0.8334)  4 Li 2.49, 1 Cu 2.57
O (0.0000, 0.5000, 0.4074)  2 V 1.81
O (0.0871, 0.1984, 0.3087)  1 V 1.74, 1 Li 1.94
O (0.1546, 0.3256, 0.7615)  1 V 1.67
O (0.1984, 0.9129, 0.3087)  1 V 1.74, 1 Li 1.94
O (0.3128, 0.4151, 0.3410)  2 V 1.76-1.90
O (0.3256, 0.8454, 0.7615)  1 V 1.67
O (0.4151, 0.6872, 0.3410)  2 V 1.76-1.90
O (0.5000, 0.0000, 0.4074)  2 V 1.81
O (0.5000, 0.5000, 0.7213)  1 V 1.61
O (0.5849, 0.3128, 0.3410)  2 V 1.76-1.90
O (0.6744, 0.1546, 0.7615)  1 V 1.67
O (0.6872, 0.5849, 0.3410)  2 V 1.76-1.90
O (0.8016, 0.0871, 0.3087)  1 V 1.74, 1 Li 1.94
O (0.8454, 0.6744, 0.7615)  1 V 1.67
O (0.9129, 0.8016, 0.3087)  1 V 1.74, 1 Li 1.94

Properties
space group = P4 (75)
crystal system = tetragonal
total energy = -171.135 eV per cell
energy relative to the elements = -50.305 kcal/mol of atoms


5.
V2Cu3PbCl2O8 | GGA+U | optimized geometry

Cell lengths 8.6284, 8.6284, 8.6284 Å; angles 116.26, 98.71, 113.95 degrees
With the nearest neighbours (Å) after each atom.
Element x y z (fractional)
V (0.0471, 0.2500, 0.7971)  4 O 1.73-1.78
V (0.4529, 0.2500, 0.2029)  4 O 1.73-1.78
V (0.5471, 0.7500, 0.7971)  4 O 1.73-1.78
V (0.9529, 0.7500, 0.2029)  4 O 1.73-1.78
Cu (0.0000, 0.0000, 0.0000)  4 O 1.97
Cu (0.1723, 0.7493, 0.9216)  4 O 1.94-1.99
Cu (0.3277, 0.2493, 0.5770)  4 O 1.94-1.99
Cu (0.5000, 0.5000, 0.0000)  4 O 1.97
Cu (0.6723, 0.7507, 0.4230)  4 O 1.94-1.99
Cu (0.8277, 0.2507, 0.0784)  4 O 1.94-1.99
Pb (0.2500, 0.7500, 0.5000)  4 O 2.66
Pb (0.7500, 0.2500, 0.5000)  4 O 2.66
Cl (0.0872, 0.3176, 0.4048)  3 Cu 2.77-3.06, 2 Pb 3.04
Cl (0.4128, 0.8176, 0.2305)  3 Cu 2.77-3.06, 2 Pb 3.04
Cl (0.5872, 0.1824, 0.7695)  3 Cu 2.77-3.06, 2 Pb 3.04
Cl (0.9128, 0.6824, 0.5952)  3 Cu 2.77-3.06, 2 Pb 3.04
O (0.0248, 0.2330, 0.9915)  1 V 1.78, 1 Cu 1.97
O (0.0474, 0.4586, 0.8180)  1 V 1.73
O (0.1405, 0.9586, 0.4112)  1 V 1.73
O (0.2415, 0.0333, 0.0085)  1 V 1.78, 1 Cu 1.97
O (0.2585, 0.2670, 0.7918)  1 V 1.78, 1 Cu 1.97
O (0.3595, 0.7706, 0.8180)  1 V 1.73
O (0.4526, 0.2706, 0.4112)  1 V 1.73
O (0.4752, 0.4667, 0.2082)  1 V 1.78, 1 Cu 1.97
O (0.5248, 0.5333, 0.7918)  1 V 1.78, 1 Cu 1.97
O (0.5474, 0.7294, 0.5888)  1 V 1.73
O (0.6405, 0.2294, 0.1820)  1 V 1.73
O (0.7415, 0.7330, 0.2082)  1 V 1.78, 1 Cu 1.97
O (0.7585, 0.9667, 0.9915)  1 V 1.78, 1 Cu 1.97
O (0.8595, 0.0414, 0.5888)  1 V 1.73
O (0.9526, 0.5414, 0.1820)  1 V 1.73
O (0.9752, 0.7670, 0.0085)  1 V 1.78, 1 Cu 1.97

Properties
space group = Ibam (72)
crystal system = orthorhombic
total energy = -187.062 eV per cell
distance to the lowest polymorph of the same formula = 0 meV/atom
energy relative to the elements = -35.986 kcal/mol of atoms


6.
V2Cu3PbCl2O8 | GGA+U | optimized geometry

Cell lengths 8.8369, 8.8369, 8.8369 Å; angles 109.71, 105.45, 113.35 degrees
With the nearest neighbours (Å) after each atom.
Element x y z (fractional)
V (0.0624, 0.2500, 0.8124)  4 O 1.75
V (0.4376, 0.2500, 0.1876)  4 O 1.75
V (0.5624, 0.7500, 0.8124)  4 O 1.75
V (0.9376, 0.7500, 0.1876)  4 O 1.75
Cu (0.0000, 0.0000, 0.0000)  4 O 1.86
Cu (0.2434, 0.2004, 0.4437)  2 O 1.90
Cu (0.2566, 0.7004, 0.9570)  2 O 1.90
Cu (0.5000, 0.5000, 0.0000)  4 O 1.86
Cu (0.7434, 0.2996, 0.0430)  2 O 1.90
Cu (0.7566, 0.7996, 0.5563)  2 O 1.90
Pb (0.2500, 0.7500, 0.5000)  4 O 2.66
Pb (0.7500, 0.2500, 0.5000)  4 O 2.66
Cl (0.0817, 0.3387, 0.4204)  1 Cu 2.23
Cl (0.4183, 0.8387, 0.2571)  1 Cu 2.23
Cl (0.5817, 0.1613, 0.7429)  1 Cu 2.23
Cl (0.9183, 0.6613, 0.5796)  1 Cu 2.23
O (0.0379, 0.2198, 0.9922)  1 V 1.75, 1 Cu 1.86
O (0.0490, 0.4450, 0.8205)  1 V 1.75, 1 Cu 1.90
O (0.1245, 0.9450, 0.3960)  1 V 1.75, 1 Cu 1.90
O (0.2276, 0.0457, 0.0078)  1 V 1.75, 1 Cu 1.86
O (0.2724, 0.2802, 0.8181)  1 V 1.75, 1 Cu 1.86
O (0.3755, 0.7714, 0.8205)  1 V 1.75, 1 Cu 1.90
O (0.4510, 0.2714, 0.3960)  1 V 1.75, 1 Cu 1.90
O (0.4621, 0.4543, 0.1819)  1 V 1.75, 1 Cu 1.86
O (0.5379, 0.5457, 0.8181)  1 V 1.75, 1 Cu 1.86
O (0.5490, 0.7286, 0.6040)  1 V 1.75, 1 Cu 1.90
O (0.6245, 0.2286, 0.1795)  1 V 1.75, 1 Cu 1.90
O (0.7276, 0.7198, 0.1819)  1 V 1.75, 1 Cu 1.86
O (0.7724, 0.9543, 0.9922)  1 V 1.75, 1 Cu 1.86
O (0.8755, 0.0550, 0.6040)  1 V 1.75, 1 Cu 1.90
O (0.9510, 0.5550, 0.1795)  1 V 1.75, 1 Cu 1.90
O (0.9621, 0.7802, 0.0078)  1 V 1.75, 1 Cu 1.86

Properties
space group = Ibam (72)
crystal system = orthorhombic
total energy = -184.787 eV per cell
distance to the lowest polymorph of the same formula = 71 meV/atom
energy relative to the elements = -34.347 kcal/mol of atoms